## 1
{
  "formula": "MgTiVO4",
  "functional": "PBE with a Hubbard U",
  "state": "relaxed",
  "cell": [[-2.2108, 3.8514, -2.7699], [-4.0800, -1.7025, -2.8016], [1.3580, -0.4848, 5.0313]],
  "species": ["Mg", "Ti", "V", "O", "O", "O", "O"],
  "frac_coords": [[0.5117, 0.5117, 0.0000], [0.7619, 0.2619, 0.5000], [0.0120, 0.0120, 0.0000], [0.5354, 0.0354, 0.5000], [0.2646, 0.2646, 0.0000], [0.9885, 0.4885, 0.5000], [0.7594, 0.7594, 0.0000]],
  "rho_g_cm3": 4.17,
  "volume_a3_per_cell": 74.47
}


## 2
{
  "formula": "MgTiVO4",
  "functional": "PBE with a Hubbard U",
  "state": "relaxed",
  "cell": [[-2.9707, -1.2059, 4.1897], [-0.7697, -5.2077, 0.3035], [4.3614, 2.9693, -0.6080]],
  "species": ["Mg", "Ti", "V", "O", "O", "O", "O"],
  "frac_coords": [[0.5595, 0.5132, 0.0364], [0.7599, 0.3149, 0.5383], [0.0615, 0.0117, 0.0364], [0.5913, 0.0356, 0.5356], [0.3282, 0.2740, 0.0583], [0.0367, 0.4815, 0.5361], [0.7998, 0.7442, 0.0149]],
  "rho_g_cm3": 3.99,
  "volume_a3_per_cell": 77.82
}


Computed energies relative to the best structure, in meV/atom: 1 29; 2 0